A plane-wave DFT calculation with PBE was carried out for a relaxed structure of CrFe.

```
CrFe
1.0
1.462 -1.941 0.000
1.462 1.941 0.000
0.000 0.000 4.023
Cr Fe
1 1
Cartesian
0.000 0.000 0.000
1.462 0.000 2.011
```

Computed properties:
Calculated formation energy = 0.09 eV per atom
Total magnetic moment = 1.90 μB per formula unit
Mass density = 7.85 g cm⁻³
SG = Cmmm (65)